PBE+U Li3MnVP3O12, optimized geometry; offset from the most stable computed form = 4.6 kJ per mole of atoms; space-group type = No. 1; energy of formation = -2.6072 eV per atom; crystal system = triclinic; energy with MP2020 corrections = -606.93 eV/cell
1.0
-0.217 5.769 7.912
-5.249 -6.600 5.045
7.880 -4.204 4.279
O Li V P Mn
48 12 4 12 4
Direct
0.073 0.121 0.610
0.868 0.334 0.622
0.343 0.696 0.901
0.716 0.376 0.116
0.344 0.959 0.888
0.383 0.393 0.540
0.563 0.827 0.917
0.072 0.306 0.409
0.433 0.087 0.181
0.133 0.592 0.453
0.853 0.875 0.968
0.357 0.408 0.802
0.796 0.608 0.899
0.655 0.207 0.589
0.676 0.306 0.818
0.355 0.628 0.319
0.125 0.162 0.892
0.591 0.609 0.122
0.560 0.416 0.318
0.287 0.875 0.636
0.405 0.873 0.399
0.454 0.406 0.092
0.810 0.908 0.715
0.150 0.379 0.671
0.943 0.206 0.091
0.131 0.034 0.126
0.152 0.804 0.294
0.640 0.468 0.620
0.634 0.671 0.375
0.936 0.090 0.404
0.330 0.186 0.686
0.660 0.112 0.050
0.931 0.389 0.875
0.947 0.590 0.687
0.875 0.106 0.836
0.441 0.679 0.588
0.649 0.110 0.310
0.190 0.287 0.084
0.841 0.797 0.424
0.059 0.602 0.908
0.199 0.081 0.390
0.620 0.895 0.187
0.370 0.830 0.110
0.855 0.538 0.398
0.548 0.914 0.592
0.839 0.704 0.192
0.053 0.910 0.799
0.152 0.573 0.195
0.388 0.259 0.009
0.475 0.569 0.771
0.533 0.233 0.440
0.250 0.513 0.981
0.183 0.376 0.246
0.833 0.747 0.621
0.016 0.672 0.088
0.176 0.732 0.776
0.734 0.016 0.489
0.975 0.917 0.313
0.825 0.226 0.268
0.612 0.969 0.753
0.787 0.251 0.970
0.006 0.250 0.749
0.277 0.967 0.252
0.220 0.027 0.751
0.067 0.150 0.451
0.590 0.055 0.186
0.898 0.947 0.826
0.098 0.173 0.052
0.798 0.678 0.347
0.195 0.650 0.312
0.702 0.327 0.661
0.424 0.838 0.556
0.934 0.551 0.843
0.578 0.447 0.159
0.308 0.343 0.679
0.405 0.824 0.950
0.720 0.741 0.029
0.493 0.756 0.250
0.510 0.533 0.469
0.994 0.469 0.524